GGA+U TaVO5, relaxed; space group = No. 14; ΔE_f = -2.888 eV/atom
1.0
-4.8802 1.0628 -2.4965
4.3980 -6.6373 -11.4231
-2.2671 -13.7918 -1.4399
O Ta V
40 8 8
Direct
0.7243 0.9244 0.1250
0.9623 0.8804 0.4645
0.2516 0.5743 0.5516
0.7484 0.4257 0.4484
0.0301 0.3701 0.6362
0.0289 0.6182 0.8518
0.4699 0.3701 0.1362
0.2484 0.5743 0.0516
0.7550 0.7048 0.6593
0.2567 0.7958 0.3679
0.4750 0.0047 0.7352
0.2433 0.7958 0.8679
0.0214 0.5080 0.2540
0.5377 0.8804 0.9645
0.7516 0.4257 0.9484
0.2757 0.0756 0.8750
0.4623 0.1196 0.0355
0.9750 0.9953 0.7648
0.2450 0.2952 0.3407
0.7433 0.2042 0.6321
0.4641 0.8772 0.4943
0.2243 0.0756 0.3750
0.4786 0.5080 0.7540
0.0250 0.0047 0.2352
0.0359 0.8772 0.9943
0.9699 0.6299 0.3638
0.2550 0.2952 0.8407
0.7450 0.7048 0.1593
0.5214 0.4920 0.2460
0.7757 0.9244 0.6250
0.4711 0.6182 0.3518
0.0377 0.1196 0.5355
0.5359 0.1228 0.5057
0.5289 0.3818 0.6482
0.9786 0.4920 0.7460
0.9641 0.1228 0.0057
0.5250 0.9953 0.2648
0.9711 0.3818 0.1482
0.5301 0.6299 0.8638
0.7567 0.2042 0.1321
0.2442 0.9428 0.3567
0.2457 0.4398 0.2026
0.7457 0.5602 0.2974
0.2558 0.9428 0.8567
0.7543 0.5602 0.7974
0.2543 0.4398 0.7026
0.7442 0.0572 0.1433
0.7558 0.0572 0.6433
0.7372 0.8468 0.5595
0.7628 0.8468 0.0595
0.2622 0.6538 0.9086
0.7622 0.3462 0.5914
0.2378 0.6538 0.4086
0.7378 0.3462 0.0914
0.2372 0.1532 0.9405
0.2628 0.1532 0.4405

***

GGA+U Ba5Mn3ClO12, relaxed; space group = No. 176; ΔE_f = -2.467 eV/atom
1.0
5.3334 -9.2378 0.0000
5.3334 9.2378 0.0000
0.0000 0.0000 7.8526
O Mn Ba Cl
24 6 10 2
Direct
0.3559 0.0967 0.9245
0.3269 0.8481 0.7500
0.4789 0.3269 0.2500
0.4680 0.5910 0.2500
0.4090 0.8770 0.2500
0.8770 0.4680 0.7500
0.6441 0.9033 0.4245
0.2592 0.3559 0.4245
0.5910 0.1230 0.7500
0.5320 0.4090 0.7500
0.9033 0.2592 0.5755
0.5211 0.6731 0.7500
0.0967 0.7408 0.0755
0.6441 0.9033 0.0755
0.0967 0.7408 0.4245
0.1230 0.5320 0.2500
0.8481 0.5211 0.2500
0.3559 0.0967 0.5755
0.1519 0.4789 0.7500
0.9033 0.2592 0.9245
0.2592 0.3559 0.0755
0.7408 0.6441 0.9245
0.6731 0.1519 0.2500
0.7408 0.6441 0.5755
0.0333 0.6295 0.2500
0.9667 0.3705 0.7500
0.3705 0.4039 0.2500
0.5961 0.9667 0.2500
0.4039 0.0333 0.7500
0.6295 0.5961 0.7500
0.7518 0.7429 0.2500
0.0089 0.7518 0.7500
0.3333 0.6667 0.0017
0.6667 0.3333 0.5017
0.6667 0.3333 0.9983
0.2571 0.0089 0.2500
0.7429 0.9911 0.7500
0.3333 0.6667 0.4983
0.9911 0.2482 0.2500
0.2482 0.2571 0.7500
0.0000 0.0000 0.5000
0.0000 0.0000 0.0000

***

GGA+U Li9Mn2Co5O16, relaxed; space group = No. 1; ΔE_f = -1.822 eV/atom
1.0
-5.0683 2.3778 -1.8516
0.7612 2.5711 5.9081
4.8724 5.3435 -2.8123
Li O Mn Co
9 16 2 5
Direct
0.9971 0.5015 0.5010
0.8870 0.8625 0.6245
0.3779 0.3804 0.1259
0.6126 0.6166 0.8662
0.1214 0.1357 0.3841
0.3534 0.8706 0.6157
0.6399 0.1366 0.3877
0.1192 0.6185 0.8605
0.8791 0.3770 0.1344
0.1751 0.9476 0.8197
0.4414 0.1923 0.5668
0.0609 0.2910 0.9363
0.4356 0.7124 0.0680
0.9577 0.7059 0.0827
0.1956 0.4607 0.3095
0.8277 0.0431 0.1861
0.5633 0.2836 0.9318
0.9295 0.1820 0.5769
0.3175 0.5462 0.6839
0.6785 0.4655 0.3142
0.7944 0.5536 0.6844
0.2988 0.0454 0.1657
0.5420 0.8102 0.4127
0.7104 0.9414 0.8448
0.0742 0.8113 0.4231
0.2480 0.7476 0.2531
0.0041 0.0003 0.0020
0.2438 0.2515 0.7412
0.5027 0.9977 0.9991
0.7546 0.2559 0.7416
0.7563 0.7528 0.2566
0.5003 0.5026 0.5000

***

GGA+U InAgW2O8, relaxed; space group = No. 13; ΔE_f = -1.904 eV/atom
1.0
5.9410 0.0000 0.0000
0.0000 5.1693 0.0000
0.0000 0.1807 10.4110
O Ag In W
16 2 2 4
Direct
0.9031 0.9296 0.1729
0.0969 0.4296 0.1729
0.6359 0.3722 0.1475
0.6359 0.1278 0.8525
0.8949 0.9492 0.6305
0.9031 0.5704 0.8271
0.1051 0.4492 0.6305
0.3745 0.6012 0.3861
0.8949 0.5508 0.3695
0.1051 0.0508 0.3695
0.3641 0.6278 0.8525
0.6255 0.1012 0.3861
0.0969 0.0704 0.8271
0.3745 0.8988 0.6139
0.6255 0.3988 0.6139
0.3641 0.8722 0.1475
0.6784 0.7500 0.0000
0.3216 0.2500 0.0000
0.6797 0.7500 0.5000
0.3203 0.2500 0.5000
0.8299 0.2431 0.2611
0.1701 0.7431 0.2611
0.8299 0.2569 0.7389
0.1701 0.7569 0.7389

***

GGA+U LiNdMo2O8, relaxed; space group = No. 13; ΔE_f = -2.489 eV/atom
1.0
-4.1965 -4.3260 -0.5555
3.2833 -2.8395 -2.6902
5.9851 -6.6483 6.5607
Mo O Nd Li
4 16 2 2
Direct
0.8194 0.7349 0.5280
0.1806 0.2651 0.4720
0.1806 0.7349 0.0280
0.8194 0.2651 0.9720
0.3700 0.2142 0.3581
0.6300 0.2142 0.8581
0.8934 0.8673 0.0924
0.1066 0.1327 0.9076
0.0805 0.6261 0.3802
0.0805 0.3739 0.1198
0.9195 0.6261 0.8802
0.3700 0.7858 0.1419
0.3616 0.6993 0.9066
0.8934 0.1327 0.4076
0.6384 0.6993 0.4066
0.6384 0.3007 0.0934
0.1066 0.8673 0.5924
0.3616 0.3007 0.5934
0.9195 0.3739 0.6198
0.6300 0.7858 0.6419
0.7133 0.5000 0.2500
0.2867 0.5000 0.7500
0.7732 0.0000 0.7500
0.2268 0.0000 0.2500

***

GGA+U Fe2Cu3Se6O18, relaxed; space group = No. 14; ΔE_f = -1.240 eV/atom
1.0
19.3590 0.0000 0.0000
0.0000 5.4844 0.0000
0.0000 5.1660 7.6779
O Se Fe Cu
36 12 4 6
Direct
0.8900 0.9072 0.0284
0.0407 0.6248 0.0394
0.2709 0.9119 0.3408
0.9593 0.3752 0.9606
0.4212 0.5743 0.1106
0.4629 0.8001 0.7630
0.8056 0.5736 0.5078
0.7291 0.0881 0.6592
0.1100 0.0928 0.9716
0.5407 0.3752 0.4606
0.4593 0.6248 0.5394
0.9629 0.1999 0.7370
0.0788 0.5743 0.6106
0.5371 0.1999 0.2370
0.0577 0.1719 0.3754
0.6100 0.9072 0.5284
0.0940 0.9795 0.6890
0.5940 0.0205 0.8110
0.9060 0.0205 0.3110
0.3900 0.0928 0.4716
0.7128 0.4837 0.7413
0.7872 0.4837 0.2413
0.9423 0.8281 0.6246
0.5577 0.8281 0.1246
0.2128 0.5163 0.7587
0.6944 0.5736 0.0078
0.4060 0.9795 0.1890
0.7709 0.0881 0.1592
0.5788 0.4257 0.8894
0.2291 0.9119 0.8408
0.1944 0.4264 0.4922
0.2872 0.5163 0.2587
0.3056 0.4264 0.9922
0.9212 0.4257 0.3894
0.0371 0.8001 0.2630
0.4423 0.1719 0.8754
0.9038 0.2628 0.8587
0.2205 0.5363 0.9396
0.8826 0.0750 0.4736
0.5962 0.2628 0.3587
0.0962 0.7372 0.1413
0.6174 0.0750 0.9736
0.4038 0.7372 0.6413
0.1174 0.9250 0.5264
0.7205 0.4637 0.5604
0.2795 0.5363 0.4396
0.3826 0.9250 0.0264
0.7795 0.4637 0.0604
0.6565 0.7705 0.7619
0.8435 0.7705 0.2619
0.3435 0.2295 0.2381
0.1565 0.2295 0.7381
0.5000 0.5000 0.0000
0.0133 0.2079 0.1767
0.5133 0.7921 0.3233
0.4867 0.2079 0.6767
0.0000 0.5000 0.5000
0.9867 0.7921 0.8233

***

GGA+U CoI2O8, relaxed; space group = No. 2; ΔE_f = -0.587 eV/atom
1.0
-0.1201 4.6606 -0.0853
0.1932 0.1926 6.6640
9.9684 0.0275 -1.3345
O Co I
16 2 4
Direct
0.7770 0.8081 0.5451
0.7593 0.0690 0.8525
0.2298 0.1939 0.9723
0.8383 0.4211 0.3604
0.7645 0.0010 0.3405
0.2333 0.8026 0.4001
0.2355 0.9990 0.6595
0.2407 0.9310 0.1475
0.7667 0.1974 0.5999
0.6242 0.4614 0.8129
0.8118 0.2163 0.1102
0.7702 0.8061 0.0277
0.2230 0.1919 0.4549
0.3758 0.5386 0.1871
0.1882 0.7837 0.8898
0.1617 0.5789 0.6396
0.0000 0.0000 0.5000
0.0000 0.0000 0.0000
0.9162 0.2871 0.7695
0.3917 0.7655 0.7306
0.0838 0.7129 0.2305
0.6083 0.2345 0.2694

***

GGA+U Mo2PO8, relaxed; space group = No. 4; ΔE_f = -2.184 eV/atom
1.0
5.3726 0.0000 0.0000
0.0000 6.6659 0.0000
0.0000 0.0555 17.6239
O P Mo
32 4 8
Direct
0.0018 0.1830 0.0880
0.9333 0.8348 0.1656
0.2393 0.3607 0.7291
0.2341 0.0045 0.3621
0.4333 0.1652 0.8344
0.9783 0.3361 0.5934
0.2268 0.8409 0.0399
0.7341 0.9955 0.6379
0.4558 0.4867 0.0039
0.9734 0.6855 0.6748
0.5018 0.8171 0.9120
0.4859 0.9954 0.4996
0.4708 0.3283 0.5910
0.5002 0.6796 0.6700
0.2216 0.1343 0.2283
0.7275 0.3402 0.4592
0.4734 0.3145 0.3252
0.4783 0.6639 0.4066
0.4622 0.7979 0.1749
0.9708 0.6717 0.4090
0.7268 0.1591 0.9601
0.2275 0.6598 0.5408
0.0002 0.3204 0.3300
0.9622 0.2021 0.8251
0.2281 0.4966 0.8620
0.7216 0.8657 0.7717
0.9859 0.0046 0.5004
0.9558 0.5133 0.9961
0.4931 0.1529 0.0960
0.7393 0.6393 0.2709
0.7281 0.5034 0.1380
0.9931 0.8471 0.9040
0.2326 0.1957 0.3124
0.7326 0.8043 0.6876
0.7162 0.6963 0.1864
0.2162 0.3037 0.8136
0.7269 0.3372 0.0434
0.2302 0.4956 0.6284
0.7302 0.5044 0.3716
0.2272 0.0037 0.1274
0.7300 0.1633 0.5432
0.7272 0.9963 0.8726
0.2300 0.8367 0.4568
0.2269 0.6628 0.9566

***

GGA+U LaZnFeMoO6, relaxed; space group = No. 1; ΔE_f = -2.313 eV/atom
1.0
-0.0012 5.5346 0.0263
0.0093 0.0408 7.7759
5.9697 -0.0013 0.0071
Fe Zn La O Mo
2 2 2 12 2
Direct
0.4956 0.5044 0.9739
0.9949 0.0036 0.5249
0.9777 0.7535 0.1130
0.4771 0.2537 0.3862
0.4793 0.7482 0.4308
0.9788 0.2474 0.0699
0.7032 0.4421 0.3166
0.2034 0.9417 0.1830
0.8041 0.0531 0.8215
0.3240 0.9535 0.7172
0.6333 0.7522 0.0334
0.8244 0.4542 0.7827
0.6753 0.0495 0.2885
0.4076 0.2475 0.0063
0.9090 0.7479 0.4938
0.1758 0.5497 0.2124
0.3045 0.5524 0.6786
0.1329 0.2518 0.4681
0.9998 0.4966 0.5293
0.4993 0.9968 0.9700

***

GGA+U La2TiCrO6, relaxed; space group = No. 148; ΔE_f = -3.393 eV/atom
1.0
2.8330 1.6356 4.4504
-2.8331 1.6355 4.4505
-0.0001 -3.2712 4.4505
O La Ti Cr
6 2 1 1
Direct
0.8200 0.2528 0.6783
0.1800 0.7472 0.3217
0.3217 0.1800 0.7472
0.7472 0.3217 0.1800
0.6783 0.8200 0.2528
0.2528 0.6783 0.8200
0.7511 0.7511 0.7511
0.2489 0.2489 0.2489
0.0000 0.0000 0.0000
0.4999 0.5000 0.5000

***

GGA+U Fe10OF19, relaxed; space group = No. 38; ΔE_f = -2.515 eV/atom
1.0
-3.2457 3.3722 1.0428
-2.4535 -1.2178 -3.9359
-8.6464 -11.0456 8.8074
Fe F O
10 19 1
Direct
0.9995 0.9995 0.2009
0.5024 0.5024 0.3001
0.4752 0.4752 0.5000
0.4999 0.4999 0.0999
0.4999 0.4999 0.9001
0.0094 0.0094 0.4047
0.0001 0.0001 0.0000
0.5024 0.5024 0.6999
0.0094 0.0094 0.5953
0.9995 0.9995 0.7991
0.1989 0.1989 0.8999
0.7000 0.2999 0.0000
0.1989 0.1989 0.1001
0.3084 0.6947 0.5963
0.8038 0.8038 0.3026
0.8038 0.8038 0.6974
0.2999 0.7000 0.0000
0.2010 0.2010 0.3000
0.6998 0.3005 0.7999
0.3084 0.6947 0.4037
0.6947 0.3084 0.4037
0.7821 0.7821 0.5000
0.3005 0.6998 0.2001
0.2010 0.2010 0.7000
0.6998 0.3005 0.2001
0.8009 0.8009 0.1002
0.6947 0.3084 0.5963
0.8009 0.8009 0.8998
0.3005 0.6998 0.7999
0.2047 0.2047 0.5000

***

Q: Look up the ΔE_f of the second one.
A: -2.467 eV/atom